(1)
An optimized crystal structure of NiGePt2. Source: Materials Project, functional meta-GGA r2SCAN. Values from VASP.

Results
Space group ... Fmmm, No. 69
Density ... 15.6 g/cm3
Formation energy ... -0.326 eV/atom

Cell and atoms, written as Quantum ESPRESSO input:
```
&SYSTEM
  ibrav = 0, nat = 8, ntyp = 3
/
ATOMIC_SPECIES
Ni 58.69 Ni.upf
Ge 72.64 Ge.upf
Pt 195.08 Pt.upf
ATOMIC_POSITIONS angstrom
Ni 3.676 1.547 3.917
Ni 3.676 6.162 3.917
Ge 3.676 3.854 1.818
Ge 3.676 3.854 6.016
Pt 1.838 1.927 1.959
Pt 5.126 3.854 3.917
Pt 2.226 3.854 3.917
Pt 5.514 5.782 5.876
CELL_PARAMETERS angstrom
0.000 3.854 3.917
3.676 0.000 3.917
3.676 3.854 0.000
```

=====

(2)
An optimized crystal structure of SmNiGe3. Source: Materials Project, functional meta-GGA r2SCAN. Values from VASP.

Results
Space group ... Cmmm, No. 65
Density ... 7.7 g/cm3
Formation energy ... -0.632 eV/atom

Cell and atoms, written as Quantum ESPRESSO input:
```
&SYSTEM
  ibrav = 0, nat = 10, ntyp = 3
/
ATOMIC_SPECIES
Sm 150.36 Sm.upf
Ni 58.69 Ni.upf
Ge 72.64 Ge.upf
ATOMIC_POSITIONS angstrom
Sm 2.051 7.160 0.000
Sm 2.051 -7.160 0.000
Ni 2.051 2.352 2.067
Ni 2.051 -2.352 2.067
Ge 2.051 9.570 2.067
Ge 2.051 4.663 2.067
Ge 2.051 1.230 0.000
Ge 2.051 -1.230 0.000
Ge 2.051 -4.663 2.067
Ge 2.051 -9.570 2.067
CELL_PARAMETERS angstrom
2.051 -10.800 0.000
2.051 10.800 0.000
0.000 0.000 4.133
```

=====

(3)
An optimized crystal structure of Sm3NiGe2. Source: Materials Project, functional meta-GGA r2SCAN. Values from VASP.

Results
Space group ... Pnma, No. 62
Density ... 7.7 g/cm3
Formation energy ... -0.846 eV/atom

Cell and atoms, written as Quantum ESPRESSO input:
```
&SYSTEM
  ibrav = 0, nat = 24, ntyp = 3
/
ATOMIC_SPECIES
Sm 150.36 Sm.upf
Ni 58.69 Ni.upf
Ge 72.64 Ge.upf
ATOMIC_POSITIONS angstrom
Sm 0.698 1.055 1.481
Sm 1.371 3.164 6.437
Sm 2.533 1.055 9.306
Sm 3.281 3.164 3.519
Sm 4.443 1.055 0.650
Sm 5.116 3.164 7.268
Sm 6.512 1.055 4.306
Sm 7.185 3.164 10.924
Sm 8.347 1.055 8.055
Sm 9.094 3.164 2.268
Sm 10.257 1.055 5.137
Sm 10.929 3.164 10.093
Ni 1.496 1.055 4.247
Ni 4.318 3.164 10.034
Ni 7.309 1.055 1.540
Ni 10.132 3.164 7.327
Ge 0.257 3.164 3.618
Ge 2.275 3.164 11.510
Ge 3.539 1.055 5.723
Ge 5.557 1.055 9.405
Ge 6.071 3.164 2.169
Ge 8.089 3.164 5.851
Ge 9.352 1.055 0.064
Ge 11.371 1.055 7.956
CELL_PARAMETERS angstrom
11.628 0.000 0.000
0.000 4.219 0.000
0.000 0.000 11.574
```